--- 1 ---
Li5Fe4P8O28: optimized geometry, PBE with a Hubbard U.

Unit cell a=9.791 b=9.801 c=11.172 alpha=78.01 beta=89.97 gamma=89.77
Space group P1 (No. 1)
Asymmetric unit:
Li 0.000 0.000 0.000 x1
Li 0.001 0.011 0.507 x1
Li 0.016 0.433 0.019 x1
Li 0.311 0.938 0.012 x1
Li 0.330 0.521 0.497 x1
Li 0.478 0.196 0.570 x1
Li 0.525 0.203 0.084 x1
Li 0.528 0.756 0.071 x1
Li 0.639 0.467 0.593 x1
Li 0.702 0.957 0.590 x1
Fe 0.000 0.149 0.716 x1
Fe 0.123 0.596 0.220 x1
Fe 0.201 0.103 0.221 x1
Fe 0.332 0.644 0.720 x1
Fe 0.490 0.048 0.364 x1
Fe 0.634 0.597 0.870 x1
Fe 0.714 0.100 0.871 x1
Fe 0.843 0.557 0.372 x1
P 0.063 0.473 0.617 x1
P 0.126 0.729 0.931 x1
P 0.207 0.235 0.929 x1
P 0.272 0.968 0.620 x1
P 0.342 0.787 0.280 x1
P 0.368 0.373 0.290 x1
P 0.467 0.326 0.801 x1
P 0.493 0.909 0.802 x1
P 0.566 0.725 0.467 x1
P 0.633 0.463 0.158 x1
P 0.713 0.961 0.157 x1
P 0.773 0.227 0.468 x1
P 0.844 0.416 0.804 x1
P 0.869 0.826 0.794 x1
P 0.972 0.872 0.289 x1
P 0.995 0.282 0.284 x1
O 0.004 0.275 0.151 x1
O 0.006 0.434 0.309 x1
O 0.009 0.740 0.828 x1
O 0.011 0.877 0.416 x1
O 0.062 0.960 0.186 x1
O 0.074 0.317 0.616 x1
O 0.076 0.623 0.046 x1
O 0.089 0.159 0.877 x1
O 0.101 0.176 0.353 x1
O 0.129 0.026 0.637 x1
O 0.145 0.871 0.959 x1
O 0.178 0.375 0.954 x1
O 0.206 0.531 0.634 x1
O 0.236 0.678 0.342 x1
O 0.248 0.672 0.870 x1
O 0.262 0.459 0.205 x1
O 0.267 0.815 0.611 x1
O 0.268 0.129 0.043 x1
O 0.321 0.252 0.821 x1
O 0.324 0.937 0.307 x1
O 0.347 0.971 0.750 x1
O 0.349 0.365 0.425 x1
O 0.352 0.787 0.146 x1
O 0.359 0.058 0.521 x1
O 0.380 0.224 0.256 x1
O 0.454 0.479 0.820 x1
O 0.481 0.626 0.564 x1
O 0.486 0.734 0.339 x1
O 0.489 0.913 0.937 x1
O 0.505 0.759 0.775 x1
O 0.508 0.322 0.672 x1
O 0.509 0.456 0.256 x1
O 0.561 0.237 0.899 x1
O 0.580 0.876 0.482 x1
O 0.585 0.573 0.042 x1
O 0.591 0.036 0.206 x1
O 0.604 0.010 0.738 x1
O 0.632 0.160 0.460 x1
O 0.652 0.323 0.130 x1
O 0.683 0.820 0.134 x1
O 0.702 0.654 0.449 x1
O 0.723 0.506 0.742 x1
O 0.749 0.523 0.224 x1
O 0.762 0.378 0.485 x1
O 0.763 0.743 0.882 x1
O 0.779 0.057 0.040 x1
O 0.822 0.944 0.267 x1
O 0.834 0.264 0.778 x1
O 0.843 0.834 0.661 x1
O 0.847 0.229 0.339 x1
O 0.848 0.425 0.936 x1
O 0.860 0.131 0.566 x1
O 0.888 0.974 0.827 x1
O 0.961 0.720 0.264 x1
O 0.983 0.482 0.741 x1
O 0.984 0.557 0.509 x1

Magnetic moment   38.000 μB per cell



--- 2 ---
Li5Fe4P8O28: optimized geometry, PBE with a Hubbard U.

Unit cell a=9.750 b=9.767 c=11.189 alpha=89.86 beta=78.43 gamma=89.79
Space group P1 (No. 1)
Asymmetric unit:
Li 0.000 0.000 0.000 x1
Li 0.028 0.391 0.577 x1
Li 0.210 0.173 0.523 x1
Li 0.241 0.563 0.097 x1
Li 0.307 0.877 0.993 x1
Li 0.538 0.693 0.570 x1
Li 0.726 0.247 0.042 x1
Li 0.765 0.180 0.504 x1
Li 0.934 0.689 0.100 x1
Li 0.970 0.700 0.587 x1
Fe 0.326 0.357 0.876 x1
Fe 0.375 0.067 0.721 x1
Fe 0.375 0.580 0.368 x1
Fe 0.417 0.872 0.224 x1
Fe 0.818 0.705 0.873 x1
Fe 0.855 0.506 0.375 x1
Fe 0.868 0.998 0.717 x1
Fe 0.916 0.210 0.224 x1
P 0.009 0.991 0.428 x1
P 0.059 0.207 0.787 x1
P 0.099 0.733 0.303 x1
P 0.142 0.834 0.794 x1
P 0.180 0.357 0.310 x1
P 0.240 0.573 0.661 x1
P 0.243 0.140 0.121 x1
P 0.495 0.637 0.966 x1
P 0.503 0.074 0.434 x1
P 0.550 0.860 0.786 x1
P 0.596 0.331 0.292 x1
P 0.644 0.230 0.789 x1
P 0.686 0.709 0.303 x1
P 0.732 0.493 0.665 x1
P 0.740 0.932 0.127 x1
P 0.996 0.428 0.972 x1
O 0.019 0.642 0.405 x1
O 0.027 0.881 0.316 x1
O 0.031 0.368 0.280 x1
O 0.052 0.216 0.654 x1
O 0.085 0.123 0.118 x1
O 0.094 0.689 0.174 x1
O 0.097 0.555 0.633 x1
O 0.141 0.859 0.928 x1
O 0.149 0.442 0.986 x1
O 0.152 0.030 0.441 x1
O 0.182 0.344 0.443 x1
O 0.213 0.198 0.810 x1
O 0.217 0.945 0.708 x1
O 0.231 0.697 0.758 x1
O 0.251 0.222 0.243 x1
O 0.257 0.748 0.319 x1
O 0.273 0.479 0.255 x1
O 0.297 0.455 0.727 x1
O 0.304 0.996 0.137 x1
O 0.324 0.218 0.013 x1
O 0.347 0.619 0.543 x1
O 0.396 0.120 0.552 x1
O 0.400 0.720 0.067 x1
O 0.427 0.497 0.954 x1
O 0.439 0.957 0.372 x1
O 0.447 0.969 0.856 x1
O 0.486 0.242 0.772 x1
O 0.488 0.715 0.840 x1
O 0.503 0.199 0.339 x1
O 0.519 0.447 0.373 x1
O 0.531 0.705 0.279 x1
O 0.535 0.869 0.655 x1
O 0.588 0.937 0.113 x1
O 0.593 0.533 0.641 x1
O 0.601 0.345 0.159 x1
O 0.646 0.051 0.456 x1
O 0.648 0.630 0.974 x1
O 0.658 0.181 0.912 x1
O 0.693 0.693 0.435 x1
O 0.701 0.865 0.811 x1
O 0.709 0.382 0.775 x1
O 0.725 0.146 0.682 x1
O 0.742 0.859 0.256 x1
O 0.745 0.312 0.327 x1
O 0.787 0.606 0.227 x1
O 0.805 0.075 0.136 x1
O 0.812 0.611 0.719 x1
O 0.836 0.430 0.555 x1
O 0.837 0.847 0.028 x1
O 0.907 0.340 0.071 x1
O 0.919 0.923 0.542 x1
O 0.927 0.109 0.377 x1
O 0.934 0.571 0.956 x1
O 0.965 0.093 0.852 x1
O 0.990 0.810 0.770 x1
O 0.999 0.352 0.844 x1

Magnetic moment   1.166 μB per cell



--- 3 ---
Li5Fe4P8O28: optimized geometry, PBE with a Hubbard U.

Unit cell a=9.759 b=9.796 c=11.159 alpha=89.78 beta=78.36 gamma=89.47
Space group P1 (No. 1)
Asymmetric unit:
Li 0.000 0.000 0.000 x1
Li 0.022 0.289 0.933 x1
Li 0.269 0.518 0.903 x1
Li 0.462 0.320 0.424 x1
Li 0.498 0.938 0.993 x1
Li 0.530 0.632 0.401 x1
Li 0.567 0.636 0.899 x1
Li 0.737 0.128 0.494 x1
Li 0.795 0.828 0.482 x1
Li 0.976 0.611 0.423 x1
Fe 0.092 0.796 0.773 x1
Fe 0.142 0.019 0.274 x1
Fe 0.142 0.500 0.623 x1
Fe 0.182 0.305 0.129 x1
Fe 0.590 0.150 0.777 x1
Fe 0.629 0.940 0.278 x1
Fe 0.640 0.436 0.622 x1
Fe 0.681 0.644 0.124 x1
P 0.005 0.011 0.564 x1
P 0.007 0.580 0.026 x1
P 0.260 0.075 0.865 x1
P 0.268 0.515 0.333 x1
P 0.316 0.303 0.692 x1
P 0.364 0.771 0.196 x1
P 0.412 0.672 0.687 x1
P 0.453 0.147 0.206 x1
P 0.496 0.937 0.565 x1
P 0.508 0.369 0.020 x1
P 0.763 0.870 0.871 x1
P 0.768 0.428 0.332 x1
P 0.826 0.646 0.689 x1
P 0.865 0.173 0.203 x1
P 0.909 0.273 0.695 x1
P 0.945 0.798 0.213 x1
O 0.018 0.662 0.147 x1
O 0.022 0.190 0.224 x1
O 0.039 0.919 0.159 x1
O 0.063 0.893 0.629 x1
O 0.070 0.437 0.042 x1
O 0.099 0.652 0.917 x1
O 0.102 0.054 0.443 x1
O 0.164 0.563 0.451 x1
O 0.167 0.158 0.967 x1
O 0.192 0.938 0.851 x1
O 0.205 0.397 0.274 x1
O 0.215 0.409 0.769 x1
O 0.254 0.679 0.672 x1
O 0.262 0.155 0.738 x1
O 0.275 0.634 0.233 x1
O 0.282 0.881 0.280 x1
O 0.297 0.331 0.562 x1
O 0.298 0.143 0.183 x1
O 0.350 0.384 0.015 x1
O 0.357 0.967 0.537 x1
O 0.375 0.792 0.061 x1
O 0.412 0.489 0.356 x1
O 0.413 0.063 0.879 x1
O 0.420 0.623 0.813 x1
O 0.467 0.154 0.337 x1
O 0.469 0.307 0.710 x1
O 0.478 0.821 0.676 x1
O 0.496 0.587 0.581 x1
O 0.511 0.747 0.232 x1
O 0.513 0.288 0.144 x1
O 0.539 0.028 0.139 x1
O 0.568 0.511 0.038 x1
O 0.572 0.053 0.622 x1
O 0.588 0.289 0.912 x1
O 0.606 0.872 0.457 x1
O 0.664 0.364 0.443 x1
O 0.668 0.784 0.971 x1
O 0.693 0.007 0.855 x1
O 0.693 0.550 0.279 x1
O 0.721 0.541 0.755 x1
O 0.759 0.251 0.665 x1
O 0.769 0.792 0.744 x1
O 0.785 0.083 0.306 x1
O 0.790 0.320 0.221 x1
O 0.797 0.806 0.181 x1
O 0.824 0.654 0.555 x1
O 0.852 0.572 0.021 x1
O 0.858 0.989 0.543 x1
O 0.867 0.135 0.073 x1
O 0.906 0.296 0.827 x1
O 0.908 0.461 0.357 x1
O 0.915 0.879 0.888 x1
O 0.946 0.783 0.347 x1
O 0.978 0.633 0.715 x1
O 0.986 0.383 0.608 x1
O 0.999 0.136 0.658 x1

Magnetic moment   38.000 μB per cell



--- 4 ---
Li5Fe4P8O28: optimized geometry, PBE with a Hubbard U.

Unit cell a=9.782 b=9.833 c=11.124 alpha=89.94 beta=78.27 gamma=89.84
Space group P1 (No. 1)
Asymmetric unit:
Li 0.000 0.000 0.000 x1
Li 0.011 0.282 0.946 x1
Li 0.035 0.667 0.523 x1
Li 0.213 0.451 0.466 x1
Li 0.513 0.355 0.944 x1
Li 0.535 0.951 0.516 x1
Li 0.716 0.165 0.458 x1
Li 0.736 0.765 0.031 x1
Li 0.770 0.470 0.443 x1
Li 0.983 0.972 0.536 x1
Fe 0.335 0.645 0.825 x1
Fe 0.375 0.360 0.670 x1
Fe 0.377 0.855 0.314 x1
Fe 0.415 0.138 0.160 x1
Fe 0.826 0.985 0.813 x1
Fe 0.873 0.778 0.314 x1
Fe 0.880 0.277 0.665 x1
Fe 0.919 0.491 0.162 x1
P 0.004 0.706 0.917 x1
P 0.008 0.271 0.373 x1
P 0.063 0.486 0.734 x1
P 0.100 0.010 0.249 x1
P 0.147 0.111 0.741 x1
P 0.185 0.637 0.254 x1
P 0.245 0.851 0.608 x1
P 0.250 0.418 0.065 x1
P 0.501 0.916 0.918 x1
P 0.505 0.350 0.374 x1
P 0.564 0.135 0.728 x1
P 0.598 0.613 0.244 x1
P 0.652 0.509 0.732 x1
P 0.687 0.986 0.248 x1
P 0.741 0.767 0.607 x1
P 0.748 0.210 0.066 x1
O 0.001 0.088 0.702 x1
O 0.019 0.924 0.356 x1
O 0.028 0.160 0.264 x1
O 0.037 0.646 0.223 x1
O 0.057 0.494 0.600 x1
O 0.091 0.965 0.124 x1
O 0.095 0.407 0.057 x1
O 0.103 0.828 0.582 x1
O 0.129 0.129 0.877 x1
O 0.147 0.300 0.401 x1
O 0.157 0.712 0.926 x1
O 0.183 0.620 0.389 x1
O 0.217 0.480 0.756 x1
O 0.232 0.221 0.661 x1
O 0.236 0.974 0.705 x1
O 0.254 0.502 0.187 x1
O 0.256 0.027 0.268 x1
O 0.281 0.757 0.205 x1
O 0.305 0.734 0.672 x1
O 0.316 0.281 0.085 x1
O 0.341 0.490 0.956 x1
O 0.348 0.900 0.489 x1
O 0.400 0.396 0.493 x1
O 0.421 0.999 0.025 x1
O 0.442 0.779 0.896 x1
O 0.447 0.233 0.309 x1
O 0.472 0.257 0.783 x1
O 0.495 0.526 0.713 x1
O 0.496 0.000 0.794 x1
O 0.513 0.473 0.278 x1
O 0.518 0.719 0.335 x1
O 0.533 0.977 0.226 x1
O 0.563 0.122 0.594 x1
O 0.596 0.222 0.053 x1
O 0.602 0.642 0.112 x1
O 0.602 0.800 0.582 x1
O 0.647 0.328 0.402 x1
O 0.659 0.904 0.922 x1
O 0.660 0.462 0.858 x1
O 0.694 0.989 0.382 x1
O 0.714 0.143 0.758 x1
O 0.723 0.658 0.717 x1
O 0.734 0.424 0.625 x1
O 0.745 0.130 0.194 x1
O 0.748 0.589 0.276 x1
O 0.781 0.874 0.179 x1
O 0.816 0.888 0.659 x1
O 0.821 0.344 0.083 x1
O 0.841 0.124 0.965 x1
O 0.846 0.705 0.495 x1
O 0.903 0.208 0.484 x1
O 0.909 0.633 0.024 x1
O 0.935 0.391 0.319 x1
O 0.940 0.848 0.899 x1
O 0.975 0.368 0.797 x1
O 0.997 0.625 0.793 x1

Magnetic moment   38.000 μB per cell



Energies relative to the most stable structure are 1 0.015; 2 0.326; 3 0.008; 4 0.000, reported in eV/atom.